Entry 1:
## Al2O3 (PBE-GGA)

Data for a relaxed structure of Al2O3.

Values from the calculation:
crystal system = triclinic
SG = P1 (1)
total magnetization = 0.0 μB/f.u.
corrected total energy (MP2020 scheme) = -7.70 eV/atom

a b c (Å): 5.223 5.345 20.008
angles (deg): 91.32 96.44 115.74
Element x y z (fractional)
Al 0.000 0.000 0.000
Al 0.004 0.497 0.965
Al 0.042 0.398 0.664
Al 0.078 0.140 0.162
Al 0.206 0.641 0.332
Al 0.242 0.161 0.417
Al 0.430 0.495 0.898
Al 0.455 0.263 0.582
Al 0.518 0.097 0.063
Al 0.645 0.107 0.228
Al 0.676 0.616 0.261
Al 0.896 0.541 0.809
O 0.029 0.565 0.735
O 0.079 0.860 0.366
O 0.145 0.607 0.880
O 0.199 0.262 0.949
O 0.213 0.157 0.085
O 0.240 0.790 0.019
O 0.296 0.155 0.502
O 0.352 0.428 0.639
O 0.358 0.466 0.381
O 0.405 0.292 0.218
O 0.473 0.811 0.278
O 0.552 0.431 0.825
O 0.738 0.202 0.611
O 0.749 0.188 0.141
O 0.755 0.674 0.955
O 0.769 0.192 0.004
O 0.868 0.888 0.213
O 0.881 0.418 0.280

---

Entry 2:
## Ga2Hg12Te15 (PBE-GGA)

Data for a relaxed structure of Ga2Hg12Te15.

Values from the calculation:
crystal system = monoclinic
SG = Cm (8)
total magnetization = 0.0 μB/f.u.
corrected total energy (MP2020 scheme) = -2.36 eV/atom

a b c (Å): 8.066 8.066 18.987
angles (deg): 94.05 94.05 120.02
Element x y z (fractional)
Ga 0.167 0.833 0.000
Ga 0.833 0.167 0.000
Hg 0.035 0.367 0.601
Hg 0.094 0.094 0.807
Hg 0.255 0.563 0.189
Hg 0.302 0.302 0.395
Hg 0.367 0.035 0.601
Hg 0.436 0.778 0.807
Hg 0.563 0.255 0.189
Hg 0.632 0.962 0.396
Hg 0.700 0.700 0.602
Hg 0.778 0.436 0.807
Hg 0.871 0.871 0.189
Hg 0.962 0.632 0.396
Te 0.016 0.683 0.549
Te 0.091 0.418 0.754
Te 0.133 0.133 0.961
Te 0.214 0.881 0.143
Te 0.279 0.614 0.342
Te 0.350 0.350 0.548
Te 0.418 0.091 0.754
Te 0.487 0.841 0.961
Te 0.540 0.540 0.121
Te 0.614 0.279 0.342
Te 0.683 0.016 0.549
Te 0.745 0.745 0.755
Te 0.841 0.487 0.961
Te 0.881 0.214 0.143
Te 0.949 0.949 0.342

---

Entry 3:
## K7Th6F31 (PBE-GGA)

Data for a relaxed structure of K7Th6F31.

Values from the calculation:
crystal system = trigonal
SG = R3 (146)
corrected total energy (MP2020 scheme) = -6.63 eV/atom

a b c (Å): 9.643 9.643 9.643
angles (deg): 107.29 107.29 107.29
Element x y z (fractional)
K 0.000 0.000 0.000
K 0.076 0.222 0.686
K 0.222 0.686 0.076
K 0.314 0.922 0.778
K 0.686 0.076 0.222
K 0.778 0.314 0.922
K 0.922 0.778 0.314
Th 0.133 0.462 0.376
Th 0.376 0.133 0.462
Th 0.462 0.376 0.133
Th 0.540 0.624 0.860
Th 0.624 0.860 0.540
Th 0.860 0.540 0.624
F 0.024 0.553 0.202
F 0.049 0.648 0.520
F 0.070 0.760 0.833
F 0.166 0.929 0.240
F 0.192 0.246 0.403
F 0.202 0.024 0.553
F 0.240 0.166 0.929
F 0.246 0.403 0.192
F 0.286 0.547 0.657
F 0.342 0.712 0.453
F 0.353 0.480 0.949
F 0.403 0.192 0.246
F 0.448 0.797 0.974
F 0.453 0.342 0.712
F 0.480 0.949 0.353
F 0.520 0.049 0.648
F 0.526 0.526 0.526
F 0.547 0.657 0.286
F 0.553 0.202 0.024
F 0.600 0.822 0.765
F 0.648 0.520 0.049
F 0.657 0.286 0.547
F 0.712 0.453 0.342
F 0.760 0.833 0.070
F 0.765 0.600 0.822
F 0.797 0.974 0.448
F 0.822 0.765 0.600
F 0.833 0.070 0.760
F 0.929 0.240 0.166
F 0.949 0.353 0.480
F 0.974 0.448 0.797

---

Entry 4:
## PaNi2Sn (PBE-GGA)

Data for a relaxed structure of PaNi2Sn.

Values from the calculation:
crystal system = cubic
SG = Fm-3m (225)

a b c (Å): 4.602 4.602 4.602
angles (deg): 60.00 60.00 60.00
Element x y z (fractional)
Pa 0.000 0.000 0.000
Ni 0.250 0.250 0.250
Ni 0.750 0.750 0.750
Sn 0.500 0.500 0.500

---

Entry 5:
## Mg3SbO4 (PBE-GGA)

Data for a relaxed structure of Mg3SbO4.

Values from the calculation:
crystal system = cubic
SG = Pm-3m (221)
total magnetization = 0.0 μB/f.u.
corrected total energy (MP2020 scheme) = -5.73 eV/atom

a b c (Å): 4.606 4.606 4.606
angles (deg): 90.00 90.00 90.00
Element x y z (fractional)
Mg 0.000 0.000 0.500
Mg 0.000 0.500 0.000
Mg 0.500 0.000 0.000
Sb 0.500 0.500 0.500
O 0.000 0.000 0.000
O 0.000 0.500 0.500
O 0.500 0.000 0.500
O 0.500 0.500 0.000

---

Entry 6:
## Nd4Cr3Fe25B2 (PBE-GGA)

Data for a relaxed structure of Nd4Cr3Fe25B2.

Values from the calculation:
crystal system = orthorhombic
SG = Cmm2 (35)
total magnetization = 51.1 μB/f.u.

a b c (Å): 8.765 8.765 12.137
angles (deg): 90.00 90.00 90.22
Element x y z (fractional)
Nd 0.142 0.858 0.000
Nd 0.234 0.766 0.501
Nd 0.266 0.266 0.000
Nd 0.358 0.358 0.501
Nd 0.642 0.642 0.501
Nd 0.734 0.734 0.000
Nd 0.766 0.234 0.501
Nd 0.858 0.142 0.000
Cr 0.000 0.000 0.380
Cr 0.000 0.000 0.623
Cr 0.322 0.322 0.755
Cr 0.500 0.500 0.121
Cr 0.500 0.500 0.883
Cr 0.678 0.678 0.755
Fe 0.000 0.500 0.501
Fe 0.000 0.500 0.999
Fe 0.038 0.360 0.176
Fe 0.039 0.359 0.824
Fe 0.067 0.276 0.374
Fe 0.067 0.277 0.628
Fe 0.100 0.100 0.207
Fe 0.100 0.100 0.794
Fe 0.140 0.538 0.325
Fe 0.140 0.538 0.677
Fe 0.181 0.819 0.746
Fe 0.182 0.818 0.255
Fe 0.223 0.567 0.127
Fe 0.223 0.567 0.872
Fe 0.276 0.067 0.374
Fe 0.277 0.067 0.628
Fe 0.318 0.318 0.247
Fe 0.359 0.039 0.824
Fe 0.360 0.038 0.176
Fe 0.400 0.600 0.295
Fe 0.402 0.598 0.707
Fe 0.433 0.777 0.127
Fe 0.433 0.777 0.872
Fe 0.462 0.860 0.325
Fe 0.462 0.860 0.677
Fe 0.500 0.000 0.501
Fe 0.500 0.000 0.999
Fe 0.538 0.140 0.325
Fe 0.538 0.140 0.677
Fe 0.567 0.223 0.127
Fe 0.567 0.223 0.872
Fe 0.598 0.402 0.707
Fe 0.600 0.400 0.295
Fe 0.640 0.962 0.176
Fe 0.641 0.961 0.824
Fe 0.682 0.682 0.247
Fe 0.723 0.933 0.628
Fe 0.724 0.933 0.374
Fe 0.777 0.433 0.127
Fe 0.777 0.433 0.872
Fe 0.818 0.182 0.255
Fe 0.819 0.181 0.746
Fe 0.860 0.462 0.325
Fe 0.860 0.462 0.677
Fe 0.900 0.900 0.207
Fe 0.900 0.900 0.794
Fe 0.933 0.723 0.628
Fe 0.933 0.724 0.374
Fe 0.961 0.641 0.824
Fe 0.962 0.640 0.176
B 0.126 0.126 0.501
B 0.373 0.627 0.999
B 0.627 0.373 0.999
B 0.874 0.874 0.501

---

Entry 7:
## MgSi (PBE-GGA)

Data for a relaxed structure of MgSi.

Values from the calculation:
crystal system = triclinic
SG = P1 (1)
total magnetization = 0.0 μB/f.u.
corrected total energy (MP2020 scheme) = -3.33 eV/atom

a b c (Å): 4.989 5.071 8.933
angles (deg): 94.85 93.22 107.53
Element x y z (fractional)
Mg 0.000 0.000 0.000
Mg 0.002 0.534 0.189
Mg 0.476 0.523 0.006
Mg 0.478 0.513 0.676
Mg 0.527 0.534 0.354
Mg 0.978 0.990 0.653
Si 0.019 0.065 0.339
Si 0.456 0.994 0.503
Si 0.508 0.019 0.186
Si 0.510 0.042 0.817
Si 0.949 0.470 0.847
Si 0.984 0.474 0.516

---

Entry 8:
## ZrZn16 (PBE-GGA)

Data for a relaxed structure of ZrZn16.

Values from the calculation:
crystal system = orthorhombic
SG = Cmcm (63)

a b c (Å): 6.983 6.983 11.827
angles (deg): 90.00 90.00 112.32
Element x y z (fractional)
Zr 0.047 0.953 0.750
Zr 0.953 0.047 0.250
Zn 0.000 0.000 0.000
Zn 0.000 0.000 0.500
Zn 0.017 0.645 0.569
Zn 0.017 0.645 0.931
Zn 0.178 0.822 0.140
Zn 0.178 0.822 0.360
Zn 0.195 0.481 0.250
Zn 0.244 0.352 0.634
Zn 0.244 0.352 0.866
Zn 0.292 0.708 0.750
Zn 0.352 0.244 0.134
Zn 0.352 0.244 0.366
Zn 0.355 0.983 0.569
Zn 0.355 0.983 0.931
Zn 0.379 0.621 0.031
Zn 0.379 0.621 0.469
Zn 0.481 0.195 0.750
Zn 0.519 0.805 0.250
Zn 0.621 0.379 0.531
Zn 0.621 0.379 0.969
Zn 0.645 0.017 0.069
Zn 0.645 0.017 0.431
Zn 0.648 0.756 0.634
Zn 0.648 0.756 0.866
Zn 0.708 0.292 0.250
Zn 0.756 0.648 0.134
Zn 0.756 0.648 0.366
Zn 0.805 0.519 0.750
Zn 0.822 0.178 0.640
Zn 0.822 0.178 0.860
Zn 0.983 0.355 0.069
Zn 0.983 0.355 0.431

---

Entry 9:
## AsXeF11 (PBE-GGA)

Data for a relaxed structure of AsXeF11.

Values from the calculation:
crystal system = monoclinic
SG = P2_1/c (14)
total magnetization = 0.0 μB/f.u.
corrected total energy (MP2020 scheme) = -3.53 eV/atom

a b c (Å): 6.158 16.683 8.308
angles (deg): 90.00 92.74 90.00
Element x y z (fractional)
As 0.104 0.106 0.201
As 0.104 0.394 0.701
As 0.896 0.606 0.299
As 0.896 0.894 0.799
Xe 0.297 0.606 0.748
Xe 0.297 0.894 0.248
Xe 0.703 0.106 0.752
Xe 0.703 0.394 0.252
F 0.012 0.514 0.228
F 0.012 0.986 0.728
F 0.024 0.583 0.495
F 0.024 0.917 0.995
F 0.026 0.659 0.809
F 0.026 0.841 0.309
F 0.124 0.660 0.247
F 0.124 0.840 0.747
F 0.234 0.187 0.114
F 0.234 0.313 0.614
F 0.238 0.121 0.388
F 0.238 0.379 0.888
F 0.318 0.552 0.958
F 0.318 0.948 0.458
F 0.328 0.040 0.144
F 0.328 0.460 0.644
F 0.338 0.688 0.579
F 0.338 0.812 0.079
F 0.395 0.079 0.778
F 0.395 0.421 0.278
F 0.427 0.692 0.880
F 0.427 0.808 0.380
F 0.573 0.192 0.620
F 0.573 0.308 0.120
F 0.605 0.579 0.722
F 0.605 0.921 0.222
F 0.662 0.188 0.921
F 0.662 0.312 0.421
F 0.672 0.540 0.356
F 0.672 0.960 0.856
F 0.682 0.052 0.542
F 0.682 0.448 0.042
F 0.762 0.621 0.112
F 0.762 0.879 0.612
F 0.766 0.687 0.386
F 0.766 0.813 0.886
F 0.876 0.160 0.253
F 0.876 0.340 0.753
F 0.974 0.159 0.691
F 0.974 0.341 0.191
F 0.976 0.083 0.005
F 0.976 0.417 0.505
F 0.988 0.014 0.272
F 0.988 0.486 0.772

---

Entry 10:
## GdCdHg2 (PBE-GGA)

Data for a relaxed structure of GdCdHg2.

Values from the calculation:
crystal system = cubic
SG = Fm-3m (225)

a b c (Å): 5.145 5.145 5.145
angles (deg): 60.00 60.00 60.00
Element x y z (fractional)
Gd 0.000 0.000 0.000
Cd 0.500 0.500 0.500
Hg 0.250 0.250 0.250
Hg 0.750 0.750 0.750

---

Entry 11:
## SiO2 (PBE-GGA)

Data for a relaxed structure of SiO2.

Values from the calculation:
crystal system = tetragonal
SG = I-42m (121)
maximum piezoelectric response = 0.04 C/m2
corrected total energy (MP2020 scheme) = -8.34 eV/atom

a b c (Å): 7.739 7.739 7.739
angles (deg): 106.72 106.72 115.13
Element x y z (fractional)
Si 0.023 0.255 0.642
Si 0.255 0.023 0.642
Si 0.381 0.613 0.358
Si 0.387 0.745 0.768
Si 0.613 0.381 0.358
Si 0.619 0.977 0.232
Si 0.745 0.387 0.768
Si 0.977 0.619 0.232
O 0.122 0.515 0.253
O 0.126 0.126 0.710
O 0.131 0.878 0.392
O 0.217 0.500 0.717
O 0.262 0.869 0.747
O 0.416 0.416 0.290
O 0.485 0.738 0.608
O 0.500 0.217 0.717
O 0.500 0.783 0.283
O 0.515 0.122 0.253
O 0.584 0.874 0.000
O 0.738 0.485 0.608
O 0.783 0.500 0.283
O 0.869 0.262 0.747
O 0.874 0.584 0.000
O 0.878 0.131 0.392

---

Entry 12:
## HoHfOs2 (PBE-GGA)

Data for a relaxed structure of HoHfOs2.

Values from the calculation:
crystal system = cubic
SG = Fm-3m (225)
total magnetization = 0.0 μB/f.u.

a b c (Å): 4.695 4.695 4.695
angles (deg): 60.00 60.00 60.00
Element x y z (fractional)
Ho 0.000 0.000 0.000
Hf 0.500 0.500 0.500
Os 0.250 0.250 0.250
Os 0.750 0.750 0.750

---

Number 1: formation energy from the elements -3232 meV/atom. Number 2: formation energy from the elements -404 meV/atom. Number 3: formation energy from the elements -4091 meV/atom. Number 4: formation energy from the elements -399 meV/atom. Number 5: formation energy from the elements -2138 meV/atom. Number 6: formation energy from the elements -5 meV/atom. Number 7: formation energy from the elements 187 meV/atom. Number 8: formation energy from the elements -93 meV/atom. Number 9: formation energy from the elements -1544 meV/atom. Number 10: formation energy from the elements -390 meV/atom. Number 11: formation energy from the elements -3236 meV/atom. Number 12: formation energy from the elements -380 meV/atom.